Entry 1:
HfAsRu | GGA-PBE | relaxed

Computed properties:
E in eV per atom: -8.748
Calculated volume in Å³ per cell: 295.3
Theoretical density in g/cm³: 12.0
Energy of formation in meV/atom: -784

Unit cell a=7.682 b=7.682 c=7.682 alpha=120.25 beta=82.93 gamma=128.26
Element x y z (fractional)
Hf (0.001, 0.250, 0.251)
Hf (0.141, 0.109, 0.533)
Hf (0.180, 0.628, 0.052)
Hf (0.575, 0.128, 0.948)
Hf (0.576, 0.609, 0.467)
Hf (0.999, 0.750, 0.749)
As (0.246, 0.074, 0.161)
As (0.246, 0.584, 0.671)
As (0.556, 0.333, 0.723)
As (0.610, 0.833, 0.277)
As (0.913, 0.084, 0.839)
As (0.913, 0.574, 0.329)
Ru (0.335, 0.335, 0.000)
Ru (0.335, 0.835, 0.500)
Ru (0.581, 0.175, 0.350)
Ru (0.581, 0.731, 0.905)
Ru (0.826, 0.231, 0.650)
Ru (0.826, 0.675, 0.095)

=====

Entry 2:
PrS | GGA-PBE | relaxed

Computed properties:
E in eV per atom: -6.474
Calculated volume in Å³ per cell: 49.0
Theoretical density in g/cm³: 5.9
Total energy after the MP2020 corrections in eV per atom: -6.7258
Energy of formation in meV/atom: -2267

Unit cell a=4.107 b=4.107 c=4.107 alpha=60.00 beta=60.00 gamma=60.00
Element x y z (fractional)
Pr (0.000, 0.000, 0.000)
S (0.500, 0.500, 0.500)

=====

Entry 3:
Ba3Cl2O2 | GGA-PBE | relaxed

Computed properties:
E in eV per atom: -5.249
Calculated volume in Å³ per cell: 910.9
Theoretical density in g/cm³: 3.8
Offset from the most stable computed form in meV/atom: 32
Total energy after the MP2020 corrections in eV per atom: -5.4456
Energy of formation in meV/atom: -2681

Unit cell a=13.210 b=6.428 c=10.728 alpha=90.00 beta=90.00 gamma=90.00
Element x y z (fractional)
Ba (0.046, 0.250, 0.213)
Ba (0.067, 0.250, 0.576)
Ba (0.217, 0.750, 0.384)
Ba (0.283, 0.250, 0.884)
Ba (0.433, 0.750, 0.076)
Ba (0.454, 0.750, 0.713)
Ba (0.546, 0.250, 0.287)
Ba (0.567, 0.250, 0.924)
Ba (0.717, 0.750, 0.116)
Ba (0.783, 0.250, 0.616)
Ba (0.933, 0.750, 0.424)
Ba (0.954, 0.750, 0.787)
Cl (0.035, 0.250, 0.896)
Cl (0.202, 0.750, 0.684)
Cl (0.298, 0.250, 0.184)
Cl (0.465, 0.750, 0.396)
Cl (0.535, 0.250, 0.604)
Cl (0.702, 0.750, 0.816)
Cl (0.798, 0.250, 0.316)
Cl (0.965, 0.750, 0.104)
O (0.082, 0.002, 0.384)
O (0.082, 0.498, 0.384)
O (0.418, 0.502, 0.884)
O (0.418, 0.998, 0.884)
O (0.582, 0.002, 0.116)
O (0.582, 0.498, 0.116)
O (0.918, 0.502, 0.616)
O (0.918, 0.998, 0.616)

=====

Entry 4:
K2ReCl6 | GGA-PBE | relaxed

Computed properties:
E in eV per atom: -4.137
Calculated volume in Å³ per cell: 257.8
Theoretical density in g/cm³: 3.1
Total energy after the MP2020 corrections in eV per atom: -4.5458
Energy of formation in meV/atom: -1684

Unit cell a=7.144 b=7.144 c=7.144 alpha=60.00 beta=60.00 gamma=60.00
Element x y z (fractional)
K (0.250, 0.250, 0.250)
K (0.750, 0.750, 0.750)
Re (0.000, 0.000, 0.000)
Cl (0.235, 0.235, 0.765)
Cl (0.235, 0.765, 0.235)
Cl (0.235, 0.765, 0.765)
Cl (0.765, 0.235, 0.235)
Cl (0.765, 0.235, 0.765)
Cl (0.765, 0.765, 0.235)

=====

Entry 5:
Na8TiAs4 | GGA-PBE | relaxed

Computed properties:
E in eV per atom: -3.384
Calculated volume in Å³ per cell: 664.3
Theoretical density in g/cm³: 2.7
Energy of formation in meV/atom: -529

Unit cell a=9.794 b=9.794 c=9.794 alpha=60.00 beta=60.00 gamma=60.00
Element x y z (fractional)
Na (0.000, 0.000, 0.000)
Na (0.000, 0.000, 0.500)
Na (0.000, 0.500, 0.000)
Na (0.154, 0.154, 0.596)
Na (0.154, 0.596, 0.154)
Na (0.154, 0.596, 0.596)
Na (0.404, 0.404, 0.846)
Na (0.404, 0.846, 0.404)
Na (0.404, 0.846, 0.846)
Na (0.500, 0.000, 0.000)
Na (0.596, 0.154, 0.154)
Na (0.596, 0.154, 0.596)
Na (0.596, 0.596, 0.154)
Na (0.846, 0.404, 0.404)
Na (0.846, 0.404, 0.846)
Na (0.846, 0.846, 0.404)
Ti (0.125, 0.125, 0.125)
Ti (0.875, 0.875, 0.875)
As (0.190, 0.770, 0.770)
As (0.230, 0.230, 0.230)
As (0.230, 0.230, 0.810)
As (0.230, 0.810, 0.230)
As (0.770, 0.190, 0.770)
As (0.770, 0.770, 0.190)
As (0.770, 0.770, 0.770)
As (0.810, 0.230, 0.230)

=====

Entry 6:
Ti3O7 | GGA-PBE | relaxed

Computed properties:
E in eV per atom: -8.411
Calculated volume in Å³ per cell: 505.0
Theoretical density in g/cm³: 1.7
Offset from the most stable computed form in meV/atom: 222
Total energy after the MP2020 corrections in eV per atom: -8.5235
Energy of formation in meV/atom: -2691

Unit cell a=14.230 b=14.230 c=9.582 alpha=91.00 beta=91.00 gamma=15.09
Element x y z (fractional)
Ti (0.191, 0.191, 0.373)
Ti (0.208, 0.208, 0.042)
Ti (0.226, 0.226, 0.726)
Ti (0.774, 0.774, 0.274)
Ti (0.792, 0.792, 0.958)
Ti (0.809, 0.809, 0.627)
O (0.131, 0.131, 0.288)
O (0.157, 0.157, 0.163)
O (0.182, 0.182, 0.869)
O (0.192, 0.192, 0.565)
O (0.254, 0.254, 0.253)
O (0.272, 0.272, 0.939)
O (0.292, 0.292, 0.641)
O (0.708, 0.708, 0.359)
O (0.728, 0.728, 0.061)
O (0.746, 0.746, 0.747)
O (0.808, 0.808, 0.435)
O (0.818, 0.818, 0.131)
O (0.843, 0.843, 0.837)
O (0.869, 0.869, 0.712)

=====

Entry 7:
NaEuZrTiO6 | GGA-PBE | relaxed

Computed properties:
E in eV per atom: -8.560
Calculated volume in Å³ per cell: 131.4
Theoretical density in g/cm³: 5.2
Total energy after the MP2020 corrections in eV per atom: -8.9719
Energy of formation in meV/atom: -3201

Unit cell a=5.706 b=5.706 c=5.706 alpha=60.00 beta=60.00 gamma=60.00
Element x y z (fractional)
Na (0.000, 0.000, 0.000)
Eu (0.500, 0.500, 0.500)
Zr (0.750, 0.750, 0.750)
Ti (0.250, 0.250, 0.250)
O (0.008, 0.008, 0.492)
O (0.008, 0.492, 0.008)
O (0.008, 0.492, 0.492)
O (0.492, 0.008, 0.008)
O (0.492, 0.008, 0.492)
O (0.492, 0.492, 0.008)